(1)
This record from Materials Project describes a geometry-optimized Pr2Co7 structure. The functional is PBE-GGA.

a b c (Å): 5.0710 8.7680 24.4791
angles (deg): 90.00 90.00 90.00
Space group Cmcm (No. 63)
Unique sites:
Pr  0.0000  0.1667  0.0275
Pr  0.0000  0.1667  0.1726
Co  0.0000  0.1669  0.6687
Co  0.0000  0.3343  0.5885
Co  0.0000  0.3341  0.7500
Co  0.0000  0.5000  0.0000
Co  0.0000  0.5002  0.1682
Co  0.2485  0.4172  0.0886
Co  0.2487  0.4171  0.2500

Results
* total magnetization: 5.35 μB per formula unit
* DFT formation energy: 0.02 eV/atom

***

(2)
This record from Materials Project describes a geometry-optimized K2Al2Si3H2O10 structure. The functional is PBE-GGA.

a b c (Å): 19.9622 20.0085 6.5066
angles (deg): 90.00 90.00 90.00
Space group Fdd2 (No. 43)
Unique sites:
K  0.1050  0.3542  0.0000
Al  0.0784  0.4452  0.5119
Si  0.0000  0.0000  0.6231
Si  0.0556  0.0801  0.2481
H  0.0179  0.2328  0.5955
O  0.0211  0.4052  0.6770
O  0.0484  0.4510  0.2565
O  0.0505  0.0470  0.4842
O  0.0935  0.0280  0.0936
O  0.0984  0.1480  0.2693

Results
* total magnetization: 2.00 μB per formula unit
* DFT formation energy: -2.61 eV/atom

***

(3)
This record from Materials Project describes a geometry-optimized Cd3B4Pb3O12 structure. The functional is PBE-GGA.

a b c (Å): 10.1471 10.1471 7.1198
angles (deg): 90.00 90.00 120.00
Space group P6_3/m (No. 176)
Unique sites:
Cd  0.0000  0.5000  0.0000
B  0.1911  0.7990  0.2500
B  0.3333  0.6667  0.7500
Pb  0.1332  0.2857  0.7500
O  0.1065  0.4523  0.2500
O  0.1060  0.7543  0.0833
O  0.1884  0.5375  0.7500

Results
* total magnetization: 0.00 μB per formula unit
* DFT formation energy: -2.14 eV/atom

***

The highest DFT formation energy belongs to which entry? Pr2Co7